1.
Ti10O11: optimized geometry, PBE-GGA.

Cell lengths 6.7054, 6.8038, 10.4260 Å; angles 94.79, 105.58, 109.18 degrees
Closest atoms and distances in Å follow each position.
Positions (direct):
O1 0.9010 0.5224 0.0951  6 Ti 2.13-2.19
O2 0.0981 0.4850 0.4024  6 Ti 2.11-2.23
O3 0.9019 0.5150 0.5976  6 Ti 2.11-2.23
O4 0.1768 0.9068 0.5195  6 Ti 2.12-2.33
O5 0.3689 0.8179 0.8039  5 Ti 2.06-2.19
O6 0.9989 0.9987 0.7537  5 Ti 2.04-2.18
O7 0.0990 0.4776 0.9049  6 Ti 2.13-2.19
O8 0.7324 0.6629 0.3566  6 Ti 2.12-2.18
O9 0.7230 0.6290 0.8481  5 Ti 2.10-2.20
O10 0.4571 0.2654 0.4336  5 Ti 2.07-2.20
O11 0.0011 0.0013 0.2463  5 Ti 2.04-2.18
O12 0.2770 0.3710 0.1519  5 Ti 2.10-2.20
O13 0.6356 0.1780 0.6922  5 Ti 2.05-2.18
O14 0.5386 0.7145 0.0556  6 Ti 2.13-2.21
O15 0.8232 0.0932 0.4805  6 Ti 2.12-2.33
O16 0.3644 0.8220 0.3078  5 Ti 2.05-2.18
O17 0.1714 0.9012 0.0091  5 Ti 2.08-2.18
O18 0.4614 0.2855 0.9444  6 Ti 2.13-2.21
O19 0.2676 0.3371 0.6434  6 Ti 2.12-2.18
O20 0.5429 0.7346 0.5664  5 Ti 2.07-2.20
O21 0.6311 0.1821 0.1961  5 Ti 2.06-2.19
O22 0.8286 0.0988 0.9909  5 Ti 2.08-2.18
Ti1 0.2429 0.6590 0.1108  6 O 2.06-2.17
Ti2 0.3351 0.0901 0.7398  6 O 2.08-2.30
Ti3 0.3906 0.5307 0.8457  6 O 2.08-2.21
Ti4 0.5000 0.0000 0.5000  6 O 2.05-2.12
Ti5 0.0237 0.7168 0.8034  6 O 2.07-2.23
Ti6 0.8738 0.8168 0.0549  6 O 2.06-2.20
Ti7 0.4019 0.5312 0.3638  6 O 2.11-2.20
Ti8 0.8707 0.8080 0.5670  5 O 2.04-2.15
Ti9 0.7586 0.3616 0.3889  6 O 2.06-2.24
Ti10 0.1262 0.1832 0.9451  6 O 2.06-2.20
Ti11 0.7571 0.3410 0.8892  6 O 2.06-2.17
Ti12 0.1293 0.1920 0.4330  5 O 2.04-2.15
Ti13 0.0247 0.7202 0.2970  5 O 2.07-2.19
Ti14 0.5981 0.4688 0.6362  6 O 2.11-2.20
Ti15 0.9763 0.2832 0.1966  6 O 2.07-2.23
Ti16 0.6649 0.9099 0.2602  6 O 2.08-2.30
Ti17 0.2414 0.6384 0.6111  6 O 2.06-2.24
Ti18 0.6094 0.4693 0.1543  6 O 2.08-2.21
Ti19 0.9753 0.2798 0.7030  5 O 2.07-2.19
Ti20 0.5000 0.0000 0.0000  6 O 2.09-2.15

Space-group type: P-1, No. 2
Total moment, μB/cell: 0.000
Energy with MP2020 corrections, eV per cell: -386.7

---

2.
TmMgHg2: optimized geometry, PBE-GGA.

Cell lengths 5.0488, 5.0488, 5.0488 Å; angles 60.00, 60.00, 60.00 degrees
Closest atoms and distances in Å follow each position.
Positions (direct):
Tm1 0.0000 0.0000 0.0000  8 Hg 3.09
Mg1 0.5000 0.5000 0.5000  8 Hg 3.09
Hg1 0.7500 0.7500 0.7500  4 Mg 3.09, 4 Tm 3.09
Hg2 0.2500 0.2500 0.2500  4 Mg 3.09, 4 Tm 3.09

Space-group type: Fm-3m, No. 225
Total DFT energy (no corrections), eV per atom: -2.11

---

3.
Fe11MoC4: optimized geometry, PBE-GGA.

Cell lengths 2.9225, 5.5860, 10.1437 Å; angles 90.00, 90.00, 90.00 degrees
Closest atoms and distances in Å follow each position.
Positions (direct):
Fe1 0.7462 0.2415 0.6858  1 C 1.89
Fe2 0.7462 0.2415 0.3142  1 C 1.89
Fe3 0.2526 0.5000 0.8152  1 C 1.88
Fe4 0.2501 0.0000 0.8236  1 C 1.79
Fe5 0.2526 0.5000 0.1848  1 C 1.88
Fe6 0.2382 0.0000 0.5000  4 C 1.93
Fe7 0.7462 0.7585 0.3142  1 C 1.89
Fe8 0.7652 0.7446 0.0000  4 C 2.00-2.04
Fe9 0.7462 0.7585 0.6858  1 C 1.89
Fe10 0.2501 0.0000 0.1764  1 C 1.79
Fe11 0.7652 0.2554 0.0000  4 C 2.00-2.04
C1 0.7364 0.2256 0.5000  4 Fe 1.89-1.93, 1 Mo 2.11
C2 0.7364 0.7744 0.5000  4 Fe 1.89-1.93, 1 Mo 2.11
C3 0.2653 0.5000 0.0000  6 Fe 1.88-2.00
C4 0.2662 0.0000 0.0000  2 Fe 1.79
Mo1 0.2388 0.5000 0.5000  4 C 2.11-2.12

Space-group type: Pmm2, No. 25
Total moment, μB/cell: 19.614
Energy above the most stable polymorph in this dataset, kJ per mole of atoms: 12.2

---

4.
TiPd3: optimized geometry, PBE-GGA.

Cell lengths 3.9320, 3.9320, 3.9320 Å; angles 90.00, 90.00, 90.00 degrees
Closest atoms and distances in Å follow each position.
Positions (direct):
Ti1 0.0000 0.0000 0.0000  12 Pd 2.78
Pd1 0.0000 0.5000 0.5000  8 Pd 2.78, 4 Ti 2.78
Pd2 0.5000 0.5000 0.0000  8 Pd 2.78, 4 Ti 2.78
Pd3 0.5000 0.0000 0.5000  8 Pd 2.78, 4 Ti 2.78

Space-group type: Pm-3m, No. 221
Total DFT energy (no corrections), eV per atom: -6.50

---

5.
ZrAlCu2: optimized geometry, PBE-GGA.

Cell lengths 3.0550, 3.0550, 6.5734 Å; angles 90.00, 90.00, 90.00 degrees
Closest atoms and distances in Å follow each position.
Positions (direct):
Al1 0.5000 0.5000 0.2500  8 Cu 2.57
Zr1 0.5000 0.5000 0.7500  8 Cu 2.87, 4 Zr 3.06
Cu1 0.0000 0.0000 0.0386  4 Al 2.57, 1 Cu 2.78, 4 Zr 2.87
Cu2 0.0000 0.0000 0.4614  4 Al 2.57, 1 Cu 2.78, 4 Zr 2.87

Space-group type: P4/mmm, No. 123
Total moment, μB/cell: 0.005
Total DFT energy (no corrections), eV per atom: -5.33

---

6.
BaLaI5: optimized geometry, PBE-GGA.

Cell lengths 4.8737, 9.2551, 15.0342 Å; angles 89.68, 90.00, 90.00 degrees
Closest atoms and distances in Å follow each position.
Positions (direct):
I1 0.7500 0.1606 0.0738  3 Ba 3.45-3.50
I2 0.7500 0.6322 0.7111  2 La 3.23
I3 0.2500 0.3616 0.8601  1 La 3.20
I4 0.2500 0.3678 0.2889  2 La 3.23
I5 0.7500 0.6384 0.1399  1 La 3.20
I6 0.2500 0.6779 0.4861  3 La 3.33-3.39
I7 0.7500 0.9223 0.3346  1 La 3.23
I8 0.7500 0.3221 0.5139  3 La 3.33-3.39
I9 0.2500 0.0777 0.6654  1 La 3.23
I10 0.2500 0.8394 0.9262  3 Ba 3.45-3.50
La1 0.7500 0.5740 0.3492  7 I 3.20-3.39
La2 0.2500 0.4260 0.6508  7 I 3.20-3.39
Ba1 0.7500 0.0713 0.8477  7 I 3.45-3.67
Ba2 0.2500 0.9287 0.1523  7 I 3.45-3.67

Space-group type: P2_1/m, No. 11
Total moment, μB/cell: 0.066
Energy with MP2020 corrections, eV per cell: -55.5
Energy above the most stable polymorph in this dataset, kJ per mole of atoms: 0.0